# CdGaH14O7F5, relaxed, DFT GGA-PBE
data_CdGaH14O7F5
_chemical_formula_sum 'Cd2 Ga2 H28 O14 F10'
_cell_length_a 5.9973
_cell_length_b 9.4761
_cell_length_c 10.1305
_cell_angle_alpha 107.84
_cell_angle_beta 102.01
_cell_angle_gamma 95.56
_symmetry_space_group_name_H-M 'P -1'
_symmetry_Int_Tables_number 2
loop_
_symmetry_equiv_pos_as_xyz
'x,y,z'
'-x,-y,-z'
loop_
_atom_site_label
_atom_site_type_symbol
_atom_site_fract_x
_atom_site_fract_y
_atom_site_fract_z
Cd1 Cd 0.0756 0.3204 0.2492
Ga1 Ga 0.4436 0.1797 0.7514
H1 H 0.1044 0.8538 0.5797
H2 H 0.1174 0.8290 0.2679
H3 H 0.1290 0.2615 0.5142
H4 H 0.1692 0.3166 0.9761
H5 H 0.1693 0.9915 0.8815
H6 H 0.1750 0.6217 0.4710
H7 H 0.2400 0.4902 0.0755
H8 H 0.2565 0.9134 0.9953
H9 H 0.2917 0.9130 0.4240
H10 H 0.3030 0.4893 0.7507
H11 H 0.3323 0.6136 0.9045
H12 H 0.3965 0.5945 0.4119
H13 H 0.4231 0.1237 0.2348
H14 H 0.4709 0.7099 0.7469
O1 O 0.0171 0.7519 0.5601
O2 O 0.1336 0.9030 0.9087
O3 O 0.1541 0.3912 0.0651
O4 O 0.2597 0.5419 0.4272
O5 O 0.2742 0.8348 0.3285
O6 O 0.2846 0.5942 0.7993
O7 O 0.4188 0.2309 0.2854
F1 F 0.1607 0.1809 0.8180
F2 F 0.2770 0.0133 0.5837
F3 F 0.3584 0.3205 0.6521
F4 F 0.3960 0.6520 0.0845
F5 F 0.4588 0.9518 0.1463
# Raw total energy in eV per cell: -269.40
# Volume in Å³/atom: 9.4
# ΔE_f in eV/atom: -1.6486
# E (MP2020) in eV/atom: -5.065

---

# SrI2O6, relaxed, DFT GGA-PBE
data_SrI2O6
_chemical_formula_sum 'Sr4 I8 O24'
_cell_length_a 7.5312
_cell_length_b 11.8311
_cell_length_c 9.1144
_cell_angle_alpha 90.00
_cell_angle_beta 126.59
_cell_angle_gamma 90.00
_symmetry_space_group_name_H-M 'P 1 21/c 1'
_symmetry_Int_Tables_number 14
loop_
_symmetry_equiv_pos_as_xyz
'x,y,z'
'-x,-y,-z'
'-x,y+1/2,-z+1/2'
'x,-y+1/2,z+1/2'
loop_
_atom_site_label
_atom_site_type_symbol
_atom_site_fract_x
_atom_site_fract_y
_atom_site_fract_z
Sr1 Sr 0.2343 0.0986 0.0072
I1 I 0.2361 0.0747 0.4631
I2 I 0.3172 0.7139 0.5580
O1 O 0.0329 0.5378 0.8342
O2 O 0.0602 0.2007 0.3786
O3 O 0.1203 0.6079 0.5249
O4 O 0.3739 0.0920 0.3513
O5 O 0.4482 0.7462 0.2960
O6 O 0.4800 0.1102 0.9044
# Raw total energy in eV per cell: -176.66
# Volume in Å³/atom: 18.1
# ΔE_f in eV/atom: -1.5402
# E (MP2020) in eV/atom: -5.365
# Distance to the lowest polymorph of the same formula in meV per atom: 0

---

# Tb2Si3Ir3, relaxed, DFT GGA-PBE
data_Tb2Si3Ir3
_chemical_formula_sum 'Tb2 Si3 Ir3'
_cell_length_a 2.9419
_cell_length_b 3.4570
_cell_length_c 13.4620
_cell_angle_alpha 89.98
_cell_angle_beta 85.65
_cell_angle_gamma 90.00
_symmetry_space_group_name_H-M 'P 1'
_symmetry_Int_Tables_number 1
loop_
_symmetry_equiv_pos_as_xyz
'x,y,z'
loop_
_atom_site_label
_atom_site_type_symbol
_atom_site_fract_x
_atom_site_fract_y
_atom_site_fract_z
Tb1 Tb 0.0000 0.0000 0.0000
Tb2 Tb 0.1023 0.0006 0.4959
Si1 Si 0.0415 0.0001 0.2476
Si2 Si 0.5271 0.4995 0.8442
Si3 Si 0.5743 0.5020 0.6528
Ir1 Ir 0.0732 0.0022 0.7486
Ir2 Ir 0.4432 0.4995 0.1505
Ir3 Ir 0.6693 0.5021 0.3477
# Raw total energy in eV per cell: -55.87
# Volume in Å³/atom: 17.1
# ΔE_f in eV/atom: -0.4760

---

# KTl4Co10Se10, relaxed, DFT GGA-PBE
data_KTl4Co10Se10
_chemical_formula_sum 'K2 Tl8 Co20 Se20'
_cell_length_a 3.8639
_cell_length_b 3.8639
_cell_length_c 66.9344
_cell_angle_alpha 90.00
_cell_angle_beta 90.00
_cell_angle_gamma 90.00
_symmetry_space_group_name_H-M 'I 4/m m m'
_symmetry_Int_Tables_number 139
_symmetry_space_group_name_Hall '-I 4 2'
loop_
_atom_site_label
_atom_site_type_symbol
_atom_site_fract_x
_atom_site_fract_y
_atom_site_fract_z
K1 K 0.0000 0.0000 0.0000
Tl1 Tl 0.0000 0.0000 0.2000
Tl2 Tl 0.0000 0.0000 0.4000
Co1 Co 0.0000 0.5000 0.0499
Co2 Co 0.0000 0.5000 0.1500
Co3 Co 0.0000 0.5000 0.2500
Se1 Se 0.0000 0.0000 0.0696
Se2 Se 0.0000 0.0000 0.1305
Se3 Se 0.0000 0.0000 0.2696
Se4 Se 0.0000 0.0000 0.3305
Se5 Se 0.0000 0.0000 0.4698
# Raw total energy in eV per cell: -246.77
# Volume in Å³/atom: 20.0
# ΔE_f in eV/atom: -0.4601
# E (MP2020) in eV/atom: -5.124